Record 1
# Cs3Tb2Br9

An optimized crystal structure of Cs3Tb2Br9 (PBE-GGA, Materials Project).

- Raw total energy: -3.816 eV/atom
- Formation energy: -217.3 kJ/mol of atoms
- Space group: R-3c (167)

```
Cs3Tb2Br9
1.0
7.0218 4.0540 6.6539
-7.0218 4.0540 6.6539
0.0000 -8.1081 6.6539
Cs Tb Br
6 4 18
Direct
0.0882 0.7500 0.4118 Cs
0.2500 0.5882 0.9118 Cs
0.4118 0.0882 0.7500 Cs
0.5882 0.9118 0.2500 Cs
0.7500 0.4118 0.0882 Cs
0.9118 0.2500 0.5882 Cs
0.1511 0.1511 0.1511 Tb
0.3489 0.3489 0.3489 Tb
0.6511 0.6511 0.6511 Tb
0.8489 0.8489 0.8489 Tb
0.0810 0.2643 0.9185 Br
0.0815 0.9190 0.7357 Br
0.0953 0.4047 0.2500 Br
0.2357 0.4190 0.5815 Br
0.2500 0.0953 0.4047 Br
0.2643 0.9185 0.0810 Br
0.4047 0.2500 0.0953 Br
0.4190 0.5815 0.2357 Br
0.4185 0.7643 0.5810 Br
0.5815 0.2357 0.4190 Br
0.5810 0.4185 0.7643 Br
0.5953 0.7500 0.9047 Br
0.7357 0.0815 0.9190 Br
0.7500 0.9047 0.5953 Br
0.7643 0.5810 0.4185 Br
0.9047 0.5953 0.7500 Br
0.9185 0.0810 0.2643 Br
0.9190 0.7357 0.0815 Br
```


Record 2
# CsTiBr3

An optimized crystal structure of CsTiBr3 (PBE-GGA, Materials Project).

- Raw total energy: -4.133 eV/atom
- Formation energy: -165.3 kJ/mol of atoms
- Space group: P6_3/mmc (194)

```
CsTiBr3
1.0
7.9350 0.0000 0.0000
-3.9675 6.8719 0.0000
0.0000 0.0000 6.2243
Cs Ti Br
2 2 6
Direct
0.3333 0.6667 0.2500 Cs
0.6667 0.3333 0.7500 Cs
0.0000 0.0000 0.0000 Ti
0.0000 0.0000 0.5000 Ti
0.1603 0.3206 0.7500 Br
0.1603 0.8397 0.7500 Br
0.3206 0.1603 0.2500 Br
0.6794 0.8397 0.7500 Br
0.8397 0.1603 0.2500 Br
0.8397 0.6794 0.2500 Br
```


Record 3
# CsTlBr3

An optimized crystal structure of CsTlBr3 (PBE-GGA, Materials Project).

- Raw total energy: -2.759 eV/atom
- Formation energy: -139.5 kJ/mol of atoms
- Space group: Cm (8)

```
CsTlBr3
1.0
4.1497 -4.1498 0.0000
4.1497 4.1498 0.0000
-0.0006 0.0000 5.8673
Cs Tl Br
1 1 3
Direct
0.0000 0.0000 0.0000 Cs
0.5022 0.5022 0.5111 Tl
0.9997 0.5027 0.5090 Br
0.4931 0.4931 0.0102 Br
0.5027 0.9997 0.5090 Br
```


Record 4
# CsTlBr4

An optimized crystal structure of CsTlBr4 (PBE-GGA, Materials Project).

- Raw total energy: -2.623 eV/atom
- Formation energy: -129.7 kJ/mol of atoms
- Space group: P2_12_12_1 (19)

```
CsTlBr4
1.0
7.0212 0.0000 0.0000
0.0000 7.9669 0.0000
0.0000 0.0000 18.4892
Cs Tl Br
4 4 16
Direct
0.0822 0.0289 0.3671 Cs
0.4178 0.9711 0.8671 Cs
0.5822 0.4711 0.6329 Cs
0.9178 0.5289 0.1329 Cs
0.0839 0.0379 0.6293 Tl
0.4161 0.9621 0.1293 Tl
0.5839 0.4621 0.3707 Tl
0.9161 0.5379 0.8707 Tl
0.0547 0.0326 0.1560 Br
0.0721 0.3101 0.9528 Br
0.0759 0.5971 0.7454 Br
0.0846 0.3201 0.5546 Br
0.4154 0.6799 0.0546 Br
0.4241 0.4029 0.2454 Br
0.4279 0.6899 0.4528 Br
0.4453 0.9674 0.6560 Br
0.5547 0.4674 0.8440 Br
0.5721 0.1899 0.0472 Br
0.5759 0.9029 0.2546 Br
0.5846 0.1799 0.4454 Br
0.9154 0.8201 0.9454 Br
0.9241 0.0971 0.7546 Br
0.9279 0.8101 0.5472 Br
0.9453 0.5326 0.3440 Br
```


Record 5
# Cs3TlBr6

An optimized crystal structure of Cs3TlBr6 (PBE-GGA, Materials Project).

- Raw total energy: -2.749 eV/atom
- Formation energy: -152.7 kJ/mol of atoms
- Space group: Fm-3m (225)

```
Cs3TlBr6
1.0
0.0000 6.1851 6.1851
6.1851 0.0000 6.1851
6.1851 6.1851 0.0000
Cs Tl Br
3 1 6
Direct
0.0000 0.0000 0.0000 Cs
0.2500 0.2500 0.2500 Cs
0.7500 0.7500 0.7500 Cs
0.5000 0.5000 0.5000 Tl
0.2748 0.2748 0.7252 Br
0.2748 0.7252 0.2748 Br
0.2748 0.7252 0.7252 Br
0.7252 0.2748 0.2748 Br
0.7252 0.2748 0.7252 Br
0.7252 0.7252 0.2748 Br
```


Record 6
# CsTlBr3

An optimized crystal structure of CsTlBr3 (PBE-GGA, Materials Project).

- Raw total energy: -2.760 eV/atom
- Formation energy: -139.5 kJ/mol of atoms
- Space group: Fm-3m (225)

```
CsTlBr3
1.0
0.0000 5.9346 5.9346
5.9346 0.0000 5.9346
5.9346 5.9346 0.0000
Cs Tl Br
2 2 6
Direct
0.2500 0.2500 0.2500 Cs
0.7500 0.7500 0.7500 Cs
0.0000 0.0000 0.0000 Tl
0.5000 0.5000 0.5000 Tl
0.2370 0.2370 0.7630 Br
0.2370 0.7630 0.2370 Br
0.2370 0.7630 0.7630 Br
0.7630 0.2370 0.2370 Br
0.7630 0.2370 0.7630 Br
0.7630 0.7630 0.2370 Br
```


Record 7
# Cs2TlBr5

An optimized crystal structure of Cs2TlBr5 (PBE-GGA, Materials Project).

- Raw total energy: -2.743 eV/atom
- Formation energy: -148.0 kJ/mol of atoms
- Space group: Pnma (62)

```
Cs2TlBr5
1.0
13.9974 0.0000 0.0000
0.0000 8.1662 0.0000
0.0000 0.0000 24.1344
Cs Tl Br
16 8 40
Direct
0.0294 0.2500 0.2273 Cs
0.1098 0.7500 0.9670 Cs
0.1276 0.7500 0.3986 Cs
0.2342 0.2500 0.6931 Cs
0.2658 0.7500 0.1931 Cs
0.3724 0.2500 0.8986 Cs
0.3902 0.2500 0.4670 Cs
0.4706 0.7500 0.7273 Cs
0.5294 0.2500 0.2727 Cs
0.6098 0.7500 0.5330 Cs
0.6276 0.7500 0.1014 Cs
0.7342 0.2500 0.8069 Cs
0.7658 0.7500 0.3069 Cs
0.8724 0.2500 0.6014 Cs
0.8902 0.2500 0.0330 Cs
0.9706 0.7500 0.7727 Cs
0.0557 0.2500 0.8594 Tl
0.0998 0.7500 0.5909 Tl
0.4002 0.2500 0.0909 Tl
0.4443 0.7500 0.3594 Tl
0.5557 0.2500 0.6406 Tl
0.5998 0.7500 0.9091 Tl
0.9002 0.2500 0.4091 Tl
0.9443 0.7500 0.1406 Tl
0.0242 0.7500 0.2532 Br
0.0765 0.5125 0.1102 Br
0.0765 0.9875 0.1102 Br
0.0834 0.2500 0.3835 Br
0.1328 0.0236 0.5385 Br
0.1328 0.4764 0.5385 Br
0.1360 0.2500 0.9653 Br
0.1849 0.0062 0.8264 Br
0.1849 0.4938 0.8264 Br
0.1906 0.7500 0.6861 Br
0.3094 0.2500 0.1861 Br
0.3151 0.5062 0.3264 Br
0.3151 0.9938 0.3264 Br
0.3640 0.7500 0.4653 Br
0.3672 0.5236 0.0385 Br
0.3672 0.9764 0.0385 Br
0.4166 0.7500 0.8835 Br
0.4235 0.0125 0.6102 Br
0.4235 0.4875 0.6102 Br
0.4758 0.2500 0.7532 Br
0.5242 0.7500 0.2468 Br
0.5765 0.5125 0.3898 Br
0.5765 0.9875 0.3898 Br
0.5834 0.2500 0.1165 Br
0.6328 0.0236 0.9615 Br
0.6328 0.4764 0.9615 Br
0.6360 0.2500 0.5347 Br
0.6849 0.0062 0.6736 Br
0.6849 0.4938 0.6736 Br
0.6906 0.7500 0.8139 Br
0.8094 0.2500 0.3139 Br
0.8151 0.5062 0.1736 Br
0.8151 0.9938 0.1736 Br
0.8640 0.7500 0.0347 Br
0.8672 0.5236 0.4615 Br
0.8672 0.9764 0.4615 Br
0.9166 0.7500 0.6165 Br
0.9235 0.0125 0.8898 Br
0.9235 0.4875 0.8898 Br
0.9758 0.2500 0.7468 Br
```


Record 8
# CsUBr3

An optimized crystal structure of CsUBr3 (PBE-GGA, Materials Project).

- Raw total energy: -4.589 eV/atom
- Formation energy: -143.8 kJ/mol of atoms
- Space group: Pm-3m (221)

```
CsUBr3
1.0
5.7861 0.0000 0.0000
0.0000 5.7861 0.0000
0.0000 0.0000 5.7861
Cs U Br
1 1 3
Direct
0.0000 0.0000 0.0000 Cs
0.5000 0.5000 0.5000 U
0.0000 0.5000 0.5000 Br
0.5000 0.0000 0.5000 Br
0.5000 0.5000 0.0000 Br
```


Record 9
# Cs2UBr6

An optimized crystal structure of Cs2UBr6 (PBE-GGA, Materials Project).

- Raw total energy: -4.162 eV/atom
- Formation energy: -190.4 kJ/mol of atoms
- Space group: Fm-3m (225)

```
Cs2UBr6
1.0
0.0000 5.7196 5.7196
5.7196 0.0000 5.7196
5.7196 5.7196 0.0000
Cs U Br
2 1 6
Direct
0.2500 0.2500 0.2500 Cs
0.7500 0.7500 0.7500 Cs
0.0000 0.0000 0.0000 U
0.2437 0.2437 0.7563 Br
0.2437 0.7563 0.2437 Br
0.2437 0.7563 0.7563 Br
0.7563 0.2437 0.2437 Br
0.7563 0.2437 0.7563 Br
0.7563 0.7563 0.2437 Br
```


Record 10
# Cs2WBr6

An optimized crystal structure of Cs2WBr6 (PBE-GGA, Materials Project).

- Raw total energy: -3.841 eV/atom
- Formation energy: -141.5 kJ/mol of atoms
- Space group: Fm-3m (225)

```
Cs2WBr6
1.0
0.0000 5.5694 5.5694
5.5694 0.0000 5.5694
5.5694 5.5694 0.0000
Cs W Br
2 1 6
Direct
0.2500 0.2500 0.2500 Cs
0.7500 0.7500 0.7500 Cs
0.0000 0.0000 0.0000 W
0.2297 0.2297 0.7703 Br
0.2297 0.7703 0.2297 Br
0.2297 0.7703 0.7703 Br
0.7703 0.2297 0.2297 Br
0.7703 0.2297 0.7703 Br
0.7703 0.7703 0.2297 Br
```


Record 11
# Cs3YBr6

An optimized crystal structure of Cs3YBr6 (PBE-GGA, Materials Project).

- Raw total energy: -3.740 eV/atom
- Formation energy: -208.7 kJ/mol of atoms
- Space group: Fm-3m (225)

```
Cs3YBr6
1.0
0.0000 6.2278 6.2278
6.2278 0.0000 6.2278
6.2278 6.2278 0.0000
Cs Y Br
3 1 6
Direct
0.0000 0.0000 0.0000 Cs
0.2500 0.2500 0.2500 Cs
0.7500 0.7500 0.7500 Cs
0.5000 0.5000 0.5000 Y
0.2751 0.2751 0.7249 Br
0.2751 0.7249 0.2751 Br
0.2751 0.7249 0.7249 Br
0.7249 0.2751 0.2751 Br
0.7249 0.2751 0.7249 Br
0.7249 0.7249 0.2751 Br
```


Record 12
# Cs3Y2Br9

An optimized crystal structure of Cs3Y2Br9 (PBE-GGA, Materials Project).

- Raw total energy: -4.078 eV/atom
- Formation energy: -217.4 kJ/mol of atoms
- Space group: R-3c (167)

```
Cs3Y2Br9
1.0
6.9999 4.0414 6.7003
-6.9999 4.0414 6.7003
0.0000 -8.0828 6.7003
Cs Y Br
6 4 18
Direct
0.0897 0.7500 0.4103 Cs
0.2500 0.5897 0.9103 Cs
0.4103 0.0897 0.7500 Cs
0.5897 0.9103 0.2500 Cs
0.7500 0.4103 0.0897 Cs
0.9103 0.2500 0.5897 Cs
0.1519 0.1519 0.1519 Y
0.3481 0.3481 0.3481 Y
0.6519 0.6519 0.6519 Y
0.8481 0.8481 0.8481 Y
0.0800 0.9185 0.7353 Br
0.0815 0.2647 0.9200 Br
0.0962 0.4038 0.2500 Br
0.2353 0.4185 0.5800 Br
0.2500 0.0962 0.4038 Br
0.2647 0.9200 0.0815 Br
0.4038 0.2500 0.0962 Br
0.4185 0.5800 0.2353 Br
0.4200 0.7647 0.5815 Br
0.5800 0.2353 0.4185 Br
0.5815 0.4200 0.7647 Br
0.5962 0.7500 0.9038 Br
0.7353 0.0800 0.9185 Br
0.7500 0.9038 0.5962 Br
0.7647 0.5815 0.4200 Br
0.9038 0.5962 0.7500 Br
0.9185 0.7353 0.0800 Br
0.9200 0.0815 0.2647 Br
```


- formation energy of number 11 (Cs3YBr6)?
  -208.7 kJ/mol of atoms


- Which of these has the highest formation energy?
  CsTlBr4


- Among the records above, which one has the highest raw total energy?
  CsTlBr4


- Number 9 is which compound?
  Cs2UBr6